No. 1
YbTl2Cd | the Materials Project database | meta-GGA r2SCAN | relaxed; uncorrected energy = -40.858 eV/atom; space group = Fm-3m, No. 225
1.0
-5.113 -0.670 0.773
-2.857 3.859 2.035
-3.443 2.544 -2.978
Tl Yb Cd
2 1 1
direct
0.750 0.750 0.750 Tl
0.250 0.250 0.250 Tl
0.000 0.000 0.000 Yb
0.500 0.500 0.500 Cd

No. 2
TmCd | the Materials Project database | meta-GGA r2SCAN | relaxed; uncorrected energy = -27.983 eV/atom; space group = Pm-3m, No. 221
1.0
-2.761 2.289 -0.791
-1.828 -2.757 -1.597
-1.589 -0.807 3.212
Cd Tm
1 1
direct
0.000 0.000 0.000 Cd
0.500 0.500 0.500 Tm

No. 3
YCd3 | the Materials Project database | meta-GGA r2SCAN | relaxed; uncorrected energy = -20.460 eV/atom; space group = Fm-3m, No. 225
1.0
4.370 0.000 2.523
1.457 4.120 2.523
0.000 0.000 5.046
Cd Y
3 1
direct
0.750 0.750 0.750 Cd
0.500 0.500 0.500 Cd
0.250 0.250 0.250 Cd
0.000 0.000 0.000 Y

No. 4
YCd | the Materials Project database | meta-GGA r2SCAN | relaxed; uncorrected energy = -20.607 eV/atom; space group = Pm-3m, No. 221
1.0
3.737 0.000 0.000
0.000 3.737 0.000
0.000 0.000 3.737
Y Cd
1 1
direct
0.500 0.500 0.500 Y
0.000 0.000 0.000 Cd

no.,energy of formation (eV/atom)
1,-0.1100
2,-0.3699
3,-0.3031
4,-0.3976